(1)
Below is a relaxed structure of NpPS4, with properties calculated at the PBE level.

Properties
* crystal system: tetragonal
* symmetry: I4_1/acd
* formation energy from the elements: -0.90 eV/atom
* raw total energy: -6.378 eV per atom

Unit cell a=12.2961 b=12.2961 c=12.2961 alpha=127.00 beta=127.00 gamma=78.26
Last column: nearest neighbours and their distance in Å.
Fractional positions:
Np 0.1250 0.3750 0.7500  8 S 2.93-2.95
Np 0.1250 0.8750 0.2500  8 S 2.88-3.01
Np 0.3750 0.1250 0.2500  8 S 2.93-2.95
Np 0.3750 0.6250 0.7500  8 S 2.88-3.01
Np 0.6250 0.3750 0.2500  8 S 2.88-3.01
Np 0.6250 0.8750 0.7500  8 S 2.93-2.95
Np 0.8750 0.1250 0.7500  8 S 2.88-3.01
Np 0.8750 0.6250 0.2500  8 S 2.93-2.95
P 0.2133 0.2500 0.4633  4 S 2.05-2.06
P 0.2500 0.2867 0.0367  4 S 2.05-2.06
P 0.2500 0.7867 0.5367  4 S 2.05-2.06
P 0.2867 0.7500 0.0367  4 S 2.05-2.06
P 0.7133 0.2500 0.9633  4 S 2.05-2.06
P 0.7500 0.2133 0.4633  4 S 2.05-2.06
P 0.7500 0.7133 0.9633  4 S 2.05-2.06
P 0.7867 0.7500 0.5367  4 S 2.05-2.06
S 0.0875 0.8817 0.4741  1 P 2.06
S 0.0924 0.3866 0.9741  1 P 2.06
S 0.0943 0.6638 0.9372  1 P 2.05
S 0.1134 0.4076 0.5259  1 P 2.06
S 0.1183 0.0924 0.2058  1 P 2.06
S 0.1571 0.0943 0.9306  1 P 2.05
S 0.1638 0.5943 0.4372  1 P 2.05
S 0.2265 0.1571 0.5628  1 P 2.05
S 0.2735 0.8362 0.9306  1 P 2.05
S 0.3362 0.7735 0.4306  1 P 2.05
S 0.3429 0.2735 0.9372  1 P 2.05
S 0.3817 0.5875 0.9741  1 P 2.06
S 0.3866 0.9125 0.2942  1 P 2.06
S 0.4057 0.3429 0.5694  1 P 2.05
S 0.4076 0.3817 0.2942  1 P 2.06
S 0.4125 0.8866 0.7942  1 P 2.06
S 0.5875 0.1134 0.2058  1 P 2.06
S 0.5924 0.6183 0.7058  1 P 2.06
S 0.5943 0.6571 0.4306  1 P 2.05
S 0.6134 0.0875 0.7058  1 P 2.06
S 0.6183 0.4125 0.0259  1 P 2.06
S 0.6571 0.7265 0.0628  1 P 2.05
S 0.6638 0.2265 0.5694  1 P 2.05
S 0.7265 0.1638 0.0694  1 P 2.05
S 0.7735 0.8429 0.4372  1 P 2.05
S 0.8362 0.4057 0.5628  1 P 2.05
S 0.8429 0.9057 0.0694  1 P 2.05
S 0.8817 0.9076 0.7942  1 P 2.06
S 0.8866 0.5924 0.4741  1 P 2.06
S 0.9057 0.3362 0.0628  1 P 2.05
S 0.9076 0.6134 0.0259  1 P 2.06
S 0.9125 0.1183 0.5259  1 P 2.06

=====

(2)
Below is a relaxed structure of LuB3O6, with properties calculated at the PBE level.

Properties
* crystal system: orthorhombic
* symmetry: Pnma
* formation energy from the elements: -3.20 eV/atom
* raw total energy: -8.213 eV per atom

Unit cell a=15.8500 b=7.3794 c=12.1823 alpha=90.00 beta=90.00 gamma=90.00
Last column: nearest neighbours and their distance in Å.
Fractional positions:
Lu 0.0487 0.2500 0.0887  5 O 2.27-2.32
Lu 0.1210 0.7500 0.5104  7 O 2.22-2.47
Lu 0.1283 0.7500 0.2367  8 O 2.23-2.50
Lu 0.1735 0.2500 0.4367  5 O 2.22-2.33
Lu 0.3265 0.7500 0.9367  5 O 2.22-2.33
Lu 0.3717 0.2500 0.7367  8 O 2.23-2.50
Lu 0.3790 0.2500 0.0104  7 O 2.22-2.47
Lu 0.4513 0.7500 0.5887  5 O 2.27-2.32
Lu 0.5487 0.2500 0.4113  5 O 2.27-2.32
Lu 0.6210 0.7500 0.9896  7 O 2.22-2.47
Lu 0.6283 0.7500 0.2633  8 O 2.23-2.50
Lu 0.6735 0.2500 0.0633  5 O 2.22-2.33
Lu 0.8265 0.7500 0.5633  5 O 2.22-2.33
Lu 0.8717 0.2500 0.7633  8 O 2.23-2.50
Lu 0.8790 0.2500 0.4896  7 O 2.22-2.47
Lu 0.9513 0.7500 0.9113  5 O 2.27-2.32
B 0.0332 0.0590 0.3245  4 O 1.45-1.53
B 0.0332 0.4410 0.3245  4 O 1.45-1.53
B 0.0556 0.0734 0.8460  4 O 1.45-1.52
B 0.0556 0.4266 0.8460  4 O 1.45-1.52
B 0.1097 0.0762 0.6422  4 O 1.46-1.53
B 0.1097 0.4238 0.6422  4 O 1.46-1.53
B 0.1511 0.5789 0.9839  4 O 1.47-1.48
B 0.1511 0.9211 0.9839  4 O 1.47-1.48
B 0.2180 0.0701 0.8157  4 O 1.45-1.54
B 0.2180 0.4299 0.8157  4 O 1.45-1.54
B 0.2410 0.0685 0.1284  4 O 1.45-1.53
B 0.2410 0.4315 0.1284  4 O 1.45-1.53
B 0.2590 0.5685 0.6284  4 O 1.45-1.53
B 0.2590 0.9315 0.6284  4 O 1.45-1.53
B 0.2820 0.5701 0.3157  4 O 1.45-1.54
B 0.2820 0.9299 0.3157  4 O 1.45-1.54
B 0.3489 0.0789 0.4839  4 O 1.47-1.48
B 0.3489 0.4211 0.4839  4 O 1.47-1.48
B 0.3903 0.5762 0.1422  4 O 1.46-1.53
B 0.3903 0.9238 0.1422  4 O 1.46-1.53
B 0.4444 0.5734 0.3460  4 O 1.45-1.52
B 0.4444 0.9266 0.3460  4 O 1.45-1.52
B 0.4668 0.5590 0.8245  4 O 1.45-1.53
B 0.4668 0.9410 0.8245  4 O 1.45-1.53
B 0.5332 0.0590 0.1755  4 O 1.45-1.53
B 0.5332 0.4410 0.1755  4 O 1.45-1.53
B 0.5556 0.0734 0.6540  4 O 1.45-1.52
B 0.5556 0.4266 0.6540  4 O 1.45-1.52
B 0.6097 0.0762 0.8578  4 O 1.46-1.53
B 0.6097 0.4238 0.8578  4 O 1.46-1.53
B 0.6511 0.5789 0.5161  4 O 1.47-1.48
B 0.6511 0.9211 0.5161  4 O 1.47-1.48
B 0.7180 0.0701 0.6843  4 O 1.45-1.54
B 0.7180 0.4299 0.6843  4 O 1.45-1.54
B 0.7410 0.0685 0.3716  4 O 1.45-1.53
B 0.7410 0.4315 0.3716  4 O 1.45-1.53
B 0.7590 0.5685 0.8716  4 O 1.45-1.53
B 0.7590 0.9315 0.8716  4 O 1.45-1.53
B 0.7820 0.5701 0.1843  4 O 1.45-1.54
B 0.7820 0.9299 0.1843  4 O 1.45-1.54
B 0.8489 0.0789 0.0161  4 O 1.47-1.48
B 0.8489 0.4211 0.0161  4 O 1.47-1.48
B 0.8903 0.5762 0.3578  4 O 1.46-1.53
B 0.8903 0.9238 0.3578  4 O 1.46-1.53
B 0.9444 0.5734 0.1540  4 O 1.45-1.52
B 0.9444 0.9266 0.1540  4 O 1.45-1.52
B 0.9668 0.5590 0.6755  4 O 1.45-1.53
B 0.9668 0.9410 0.6755  4 O 1.45-1.53
O 0.0238 0.5262 0.2109  2 B 1.48-1.53
O 0.0238 0.9738 0.2109  2 B 1.48-1.53
O 0.0479 0.2500 0.9008  2 B 1.47
O 0.0484 0.5673 0.6212  2 B 1.45-1.46
O 0.0484 0.9327 0.6212  2 B 1.45-1.46
O 0.0682 0.2500 0.3050  2 B 1.53
O 0.0675 0.5628 0.9306  2 B 1.45-1.48
O 0.0675 0.9372 0.9306  2 B 1.45-1.48
O 0.0777 0.2500 0.6034  2 B 1.46
O 0.0973 0.5452 0.3808  1 B 1.45
O 0.0973 0.9548 0.3808  1 B 1.45
O 0.1288 0.0739 0.7654  3 B 1.52-1.54
O 0.1288 0.4261 0.7654  3 B 1.52-1.54
O 0.1569 0.7500 0.0448  2 B 1.47
O 0.1623 0.0681 0.0641  2 B 1.47
O 0.1623 0.4319 0.0641  2 B 1.47
O 0.1861 0.0351 0.5758  2 B 1.49-1.53
O 0.1861 0.4649 0.5758  2 B 1.49-1.53
O 0.2181 0.5687 0.8996  2 B 1.45-1.48
O 0.2181 0.9313 0.8996  2 B 1.45-1.48
O 0.2219 0.5240 0.2304  2 B 1.45
O 0.2219 0.9760 0.2304  2 B 1.45
O 0.2239 0.7500 0.6395  2 B 1.46
O 0.2456 0.2500 0.8595  2 B 1.50
O 0.2544 0.7500 0.3595  2 B 1.50
O 0.2761 0.2500 0.1395  2 B 1.46
O 0.2781 0.0240 0.7304  2 B 1.45
O 0.2781 0.4760 0.7304  2 B 1.45
O 0.2819 0.0687 0.3996  2 B 1.45-1.48
O 0.2819 0.4313 0.3996  2 B 1.45-1.48
O 0.3139 0.5351 0.0758  2 B 1.49-1.53
O 0.3139 0.9649 0.0758  2 B 1.49-1.53
O 0.3377 0.5681 0.5641  2 B 1.47
O 0.3377 0.9319 0.5641  2 B 1.47
O 0.3431 0.2500 0.5448  2 B 1.47
O 0.3712 0.5739 0.2654  3 B 1.52-1.54
O 0.3712 0.9261 0.2654  3 B 1.52-1.54
O 0.4027 0.0452 0.8808  1 B 1.45
O 0.4027 0.4548 0.8808  1 B 1.45
O 0.4223 0.7500 0.1034  2 B 1.46
O 0.4325 0.0628 0.4306  2 B 1.45-1.48
O 0.4325 0.4372 0.4306  2 B 1.45-1.48
O 0.4318 0.7500 0.8050  2 B 1.53
O 0.4516 0.0673 0.1212  2 B 1.45-1.46
O 0.4516 0.4327 0.1212  2 B 1.45-1.46
O 0.4521 0.7500 0.4008  2 B 1.47
O 0.4762 0.0262 0.7109  2 B 1.48-1.53
O 0.4762 0.4738 0.7109  2 B 1.48-1.53
O 0.5238 0.5262 0.2891  2 B 1.48-1.53
O 0.5238 0.9738 0.2891  2 B 1.48-1.53
O 0.5479 0.2500 0.5992  2 B 1.47
O 0.5484 0.5673 0.8788  2 B 1.45-1.46
O 0.5484 0.9327 0.8788  2 B 1.45-1.46
O 0.5682 0.2500 0.1950  2 B 1.53
O 0.5675 0.5628 0.5694  2 B 1.45-1.48
O 0.5675 0.9372 0.5694  2 B 1.45-1.48
O 0.5777 0.2500 0.8966  2 B 1.46
O 0.5973 0.5452 0.1192  1 B 1.45
O 0.5973 0.9548 0.1192  1 B 1.45
O 0.6288 0.0739 0.7346  3 B 1.52-1.54
O 0.6288 0.4261 0.7346  3 B 1.52-1.54
O 0.6569 0.7500 0.4552  2 B 1.47
O 0.6623 0.0681 0.4359  2 B 1.47
O 0.6623 0.4319 0.4359  2 B 1.47
O 0.6861 0.0351 0.9242  2 B 1.49-1.53
O 0.6861 0.4649 0.9242  2 B 1.49-1.53
O 0.7181 0.5687 0.6004  2 B 1.45-1.48
O 0.7181 0.9313 0.6004  2 B 1.45-1.48
O 0.7219 0.5240 0.2696  2 B 1.45
O 0.7219 0.9760 0.2696  2 B 1.45
O 0.7239 0.7500 0.8605  2 B 1.46
O 0.7456 0.2500 0.6405  2 B 1.50
O 0.7544 0.7500 0.1405  2 B 1.50
O 0.7761 0.2500 0.3605  2 B 1.46
O 0.7781 0.0240 0.7696  2 B 1.45
O 0.7781 0.4760 0.7696  2 B 1.45
O 0.7819 0.0687 0.1004  2 B 1.45-1.48
O 0.7819 0.4313 0.1004  2 B 1.45-1.48
O 0.8139 0.5351 0.4242  2 B 1.49-1.53
O 0.8139 0.9649 0.4242  2 B 1.49-1.53
O 0.8377 0.5681 0.9359  2 B 1.47
O 0.8377 0.9319 0.9359  2 B 1.47
O 0.8431 0.2500 0.9552  2 B 1.47
O 0.8712 0.5739 0.2346  3 B 1.52-1.54
O 0.8712 0.9261 0.2346  3 B 1.52-1.54
O 0.9027 0.0452 0.6192  1 B 1.45
O 0.9027 0.4548 0.6192  1 B 1.45
O 0.9223 0.7500 0.3966  2 B 1.46
O 0.9325 0.0628 0.0694  2 B 1.45-1.48
O 0.9325 0.4372 0.0694  2 B 1.45-1.48
O 0.9318 0.7500 0.6950  2 B 1.53
O 0.9516 0.0673 0.3788  2 B 1.45-1.46
O 0.9516 0.4327 0.3788  2 B 1.45-1.46
O 0.9521 0.7500 0.0992  2 B 1.47
O 0.9762 0.0262 0.7891  2 B 1.48-1.53
O 0.9762 0.4738 0.7891  2 B 1.48-1.53

=====

(3)
Below is a relaxed structure of KMg6BiO8, with properties calculated at the PBE level.

Properties
* crystal system: tetragonal
* symmetry: P4/mmm
* relative energy among the computed polymorphs: 100 meV per atom
* formation energy from the elements: -2.32 eV/atom
* raw total energy: -5.365 eV per atom

Unit cell a=4.5984 b=4.5984 c=9.2021 alpha=90.00 beta=90.00 gamma=90.00
Last column: nearest neighbours and their distance in Å.
Fractional positions:
K 0.0000 0.0000 0.0000  6 O 2.30-2.35
Mg 0.0000 0.5000 0.2277  5 O 2.10-2.31
Mg 0.0000 0.5000 0.7723  5 O 2.10-2.31
Mg 0.5000 0.0000 0.2277  5 O 2.10-2.31
Mg 0.5000 0.0000 0.7723  5 O 2.10-2.31
Mg 0.5000 0.5000 0.0000  6 O 2.30-2.32
Mg 0.5000 0.5000 0.5000  6 O 2.28-2.30
Bi 0.0000 0.0000 0.5000  6 O 2.25-2.30
O 0.0000 0.0000 0.2552  1 Bi 2.25, 4 Mg 2.31, 1 K 2.35
O 0.0000 0.0000 0.7448  1 Bi 2.25, 4 Mg 2.31, 1 K 2.35
O 0.0000 0.5000 0.0000  4 Mg 2.10-2.30, 2 K 2.30
O 0.0000 0.5000 0.5000  4 Mg 2.30-2.51, 2 Bi 2.30
O 0.5000 0.0000 0.0000  4 Mg 2.10-2.30, 2 K 2.30
O 0.5000 0.0000 0.5000  4 Mg 2.30-2.51, 2 Bi 2.30
O 0.5000 0.5000 0.2517  6 Mg 2.28-2.32
O 0.5000 0.5000 0.7483  6 Mg 2.28-2.32

=====

no.,energy with MP2020 corrections (eV per atom)
1,-6.714
2,-8.625
3,-5.708